Here is an optimized crystal structure of CrSe from Materials Project. Energies are from GGA-PBE.

Values from the calculation:
Formation energy from the elements in eV per atom: -0.537
E_tot in eV/f.u.: -13.8

Cell: 3.530 3.530 6.321 Å, 90.00 90.00 90.00°
Atoms (fractional coordinates):
Cr: 0.250 0.750 0.000
Cr: 0.750 0.250 0.000
Se: 0.250 0.250 0.265
Se: 0.750 0.750 0.735


Here is an optimized crystal structure of Pd7O8 from Materials Project. Energies are from GGA-PBE.

Values from the calculation:
Formation energy from the elements in eV per atom: -0.721
E_tot in eV/f.u.: -81.2
E above lowest polymorph in meV per atom: 9

Cell: 5.756 5.756 5.756 Å, 90.00 90.00 90.00°
Atoms (fractional coordinates):
Pd: 0.000 0.000 0.000
Pd: 0.000 0.256 0.500
Pd: 0.000 0.744 0.500
Pd: 0.256 0.500 0.000
Pd: 0.500 0.000 0.256
Pd: 0.500 0.000 0.744
Pd: 0.744 0.500 0.000
O: 0.235 0.235 0.235
O: 0.235 0.235 0.765
O: 0.235 0.765 0.235
O: 0.235 0.765 0.765
O: 0.765 0.235 0.235
O: 0.765 0.235 0.765
O: 0.765 0.765 0.235
O: 0.765 0.765 0.765


Here is an optimized crystal structure of TmAgSe2 from Materials Project. Energies are from GGA-PBE.

Values from the calculation:
Formation energy from the elements in eV per atom: -1.428
E_tot in eV/f.u.: -19.1

Cell: 4.219 6.825 13.725 Å, 90.00 90.00 90.00°
Atoms (fractional coordinates):
Tm: 0.229 0.209 0.372
Tm: 0.271 0.791 0.872
Tm: 0.729 0.291 0.628
Tm: 0.771 0.709 0.128
Ag: 0.002 0.204 0.124
Ag: 0.498 0.796 0.624
Ag: 0.502 0.296 0.876
Ag: 0.998 0.704 0.376
Se: 0.228 0.089 0.727
Se: 0.234 0.484 0.527
Se: 0.266 0.516 0.027
Se: 0.272 0.911 0.227
Se: 0.728 0.411 0.273
Se: 0.734 0.016 0.473
Se: 0.766 0.984 0.973
Se: 0.772 0.589 0.773


Here is an optimized crystal structure of PuAu3 from Materials Project. Energies are from GGA-PBE.

Values from the calculation:
Formation energy from the elements in eV per atom: -0.369
E_tot in eV/f.u.: -25.6

Cell: 6.374 6.374 4.856 Å, 90.00 90.00 120.00°
Atoms (fractional coordinates):
Pu: 0.333 0.667 0.250
Pu: 0.667 0.333 0.750
Au: 0.159 0.318 0.750
Au: 0.159 0.841 0.750
Au: 0.318 0.159 0.250
Au: 0.682 0.841 0.750
Au: 0.841 0.159 0.250
Au: 0.841 0.682 0.250


Here is an optimized crystal structure of Li5CuP2O8 from Materials Project. Energies are from GGA-PBE.

Values from the calculation:
Formation energy from the elements in eV per atom: -2.526
Maximum piezoelectric response in C/m²: 0.6
E_tot in eV/f.u.: -99.0
E above lowest polymorph in meV per atom: 0

Cell: 4.975 6.217 5.308 Å, 90.00 90.35 90.00°
Atoms (fractional coordinates):
Li: 0.000 0.000 0.000
Li: 0.000 0.254 0.518
Li: 0.000 0.746 0.518
Li: 0.501 0.249 0.171
Li: 0.501 0.751 0.171
Cu: 0.503 0.500 0.672
P: 0.008 0.500 0.026
P: 0.509 0.000 0.670
O: 0.320 0.500 0.044
O: 0.399 0.202 0.526
O: 0.399 0.798 0.526
O: 0.408 0.000 0.948
O: 0.822 0.000 0.664
O: 0.900 0.293 0.157
O: 0.900 0.707 0.157
O: 0.923 0.500 0.742


Here is an optimized crystal structure of YSeCl from Materials Project. Energies are from GGA-PBE.

Values from the calculation:
Formation energy from the elements in eV per atom: -1.444
E_tot in eV/f.u.: -15.5

Cell: 4.858 4.858 4.858 Å, 60.00 60.00 60.00°
Atoms (fractional coordinates):
Y: 0.000 0.000 0.000
Se: 0.250 0.250 0.250
Cl: 0.500 0.500 0.500


Here is an optimized crystal structure of Mg5NbB3O12 from Materials Project. Energies are from GGA-PBE.

Values from the calculation:
Formation energy from the elements in eV per atom: -3.059
E_tot in eV/f.u.: -153.5

Cell: 9.473 9.566 9.433 Å, 90.00 90.00 90.00°
Atoms (fractional coordinates):
Mg: 0.098 0.076 0.179
Mg: 0.098 0.424 0.179
Mg: 0.101 0.750 0.191
Mg: 0.125 0.084 0.573
Mg: 0.125 0.416 0.573
Mg: 0.375 0.584 0.073
Mg: 0.375 0.916 0.073
Mg: 0.399 0.250 0.691
Mg: 0.402 0.576 0.679
Mg: 0.402 0.924 0.679
Mg: 0.598 0.076 0.321
Mg: 0.598 0.424 0.321
Mg: 0.601 0.750 0.309
Mg: 0.625 0.084 0.927
Mg: 0.625 0.416 0.927
Mg: 0.875 0.584 0.427
Mg: 0.875 0.916 0.427
Mg: 0.899 0.250 0.809
Mg: 0.902 0.576 0.821
Mg: 0.902 0.924 0.821
Nb: 0.098 0.750 0.587
Nb: 0.402 0.250 0.087
Nb: 0.598 0.750 0.913
Nb: 0.902 0.250 0.413
B: 0.173 0.089 0.873
B: 0.173 0.411 0.873
B: 0.178 0.750 0.871
B: 0.322 0.250 0.371
B: 0.327 0.589 0.373
B: 0.327 0.911 0.373
B: 0.673 0.089 0.627
B: 0.673 0.411 0.627
B: 0.678 0.750 0.629
B: 0.822 0.250 0.129
B: 0.827 0.589 0.127
B: 0.827 0.911 0.127
O: 0.009 0.083 0.381
O: 0.009 0.417 0.381
O: 0.020 0.750 0.396
O: 0.029 0.088 0.869
O: 0.029 0.412 0.869
O: 0.036 0.750 0.840
O: 0.236 0.750 0.003
O: 0.239 0.250 0.245
O: 0.241 0.092 0.007
O: 0.241 0.408 0.007
O: 0.247 0.584 0.249
O: 0.247 0.916 0.249
O: 0.253 0.084 0.749
O: 0.253 0.416 0.749
O: 0.259 0.592 0.507
O: 0.259 0.908 0.507
O: 0.261 0.750 0.745
O: 0.264 0.250 0.503
O: 0.464 0.250 0.340
O: 0.471 0.588 0.369
O: 0.471 0.912 0.369
O: 0.480 0.250 0.896
O: 0.491 0.583 0.881
O: 0.491 0.917 0.881
O: 0.509 0.083 0.119
O: 0.509 0.417 0.119
O: 0.520 0.750 0.104
O: 0.529 0.088 0.631
O: 0.529 0.412 0.631
O: 0.536 0.750 0.660
O: 0.736 0.750 0.497
O: 0.739 0.250 0.255
O: 0.741 0.092 0.493
O: 0.741 0.408 0.493
O: 0.747 0.584 0.251
O: 0.747 0.916 0.251
O: 0.753 0.084 0.751
O: 0.753 0.416 0.751
O: 0.759 0.592 0.993
O: 0.759 0.908 0.993
O: 0.761 0.750 0.755
O: 0.764 0.250 0.997
O: 0.964 0.250 0.160
O: 0.971 0.588 0.131
O: 0.971 0.912 0.131
O: 0.980 0.250 0.604
O: 0.991 0.583 0.619
O: 0.991 0.917 0.619


Here is an optimized crystal structure of Mg6CrCo from Materials Project. Energies are from GGA-PBE.

Values from the calculation:
Formation energy from the elements in eV per atom: 0.280
E_tot in eV/f.u.: -24.1
E above lowest polymorph in meV per atom: 34

Cell: 4.589 5.852 10.835 Å, 90.00 90.00 90.00°
Atoms (fractional coordinates):
Mg: 0.000 0.236 0.585
Mg: 0.000 0.764 0.585
Mg: 0.000 0.500 0.828
Mg: 0.500 0.760 0.918
Mg: 0.500 0.240 0.918
Mg: 0.500 0.500 0.670
Mg: 0.000 0.736 0.085
Mg: 0.000 0.264 0.085
Mg: 0.000 0.000 0.328
Mg: 0.500 0.260 0.418
Mg: 0.500 0.740 0.418
Mg: 0.500 0.000 0.170
Cr: 0.500 0.000 0.696
Cr: 0.500 0.500 0.196
Co: 0.000 0.000 0.799
Co: 0.000 0.500 0.299


Here is an optimized crystal structure of MgTi2Ga4O10 from Materials Project. Energies are from GGA-PBE.

Values from the calculation:
Formation energy from the elements in eV per atom: -2.522
E_tot in eV/f.u.: -115.0
E above lowest polymorph in meV per atom: 6

Cell: 5.187 5.634 7.617 Å, 109.37 91.46 115.54°
Atoms (fractional coordinates):
Mg: 0.000 0.000 0.000
Ti: 0.790 0.555 0.142
Ti: 0.800 0.614 0.572
Ga: 0.157 0.325 0.410
Ga: 0.217 0.428 0.870
Ga: 0.444 0.868 0.302
Ga: 0.469 0.919 0.762
O: 0.014 0.572 0.351
O: 0.058 0.457 0.650
O: 0.157 0.011 0.755
O: 0.192 0.771 0.065
O: 0.374 0.412 0.115
O: 0.463 0.233 0.438
O: 0.560 0.797 0.520
O: 0.608 0.662 0.826
O: 0.800 0.232 0.941
O: 0.836 0.965 0.240


Here is an optimized crystal structure of Na2In2P2SO12 from Materials Project. Energies are from GGA-PBE.

Values from the calculation:
Formation energy from the elements in eV per atom: -2.348
E_tot in eV/f.u.: -118.9

Cell: 9.011 9.011 23.084 Å, 90.57 89.43 119.93°
Atoms (fractional coordinates):
Na: 0.994 0.628 0.253
Na: 0.372 0.006 0.753
Na: 0.660 0.962 0.586
Na: 0.038 0.340 0.086
Na: 0.327 0.295 0.919
Na: 0.705 0.673 0.419
Na: 0.021 0.995 0.500
Na: 0.005 0.979 0.000
Na: 0.688 0.328 0.834
Na: 0.672 0.312 0.334
Na: 0.354 0.661 0.167
Na: 0.339 0.646 0.667
In: 0.993 0.004 0.349
In: 0.996 0.007 0.849
In: 0.001 0.999 0.650
In: 0.001 0.999 0.150
In: 0.659 0.337 0.682
In: 0.663 0.341 0.182
In: 0.668 0.332 0.984
In: 0.668 0.332 0.484
In: 0.326 0.670 0.016
In: 0.330 0.674 0.516
In: 0.335 0.665 0.317
In: 0.335 0.665 0.817
P: 0.701 0.703 0.251
P: 0.999 0.300 0.248
P: 0.297 0.299 0.751
P: 0.700 0.001 0.748
P: 0.368 0.036 0.584
P: 0.666 0.634 0.581
P: 0.964 0.632 0.084
P: 0.366 0.334 0.081
P: 0.035 0.370 0.918
P: 0.333 0.967 0.915
P: 0.630 0.965 0.418
P: 0.033 0.667 0.415
S: 0.299 0.002 0.251
S: 0.998 0.701 0.751
S: 0.965 0.335 0.584
S: 0.665 0.035 0.084
S: 0.632 0.669 0.917
S: 0.331 0.368 0.417
O: 0.220 0.027 0.304
O: 0.809 0.777 0.307
O: 0.982 0.194 0.302
O: 0.223 0.191 0.807
O: 0.973 0.780 0.804
O: 0.806 0.018 0.802
O: 0.777 0.975 0.691
O: 0.187 0.209 0.698
O: 0.026 0.807 0.699
O: 0.791 0.813 0.198
O: 0.025 0.223 0.191
O: 0.193 0.974 0.199
O: 0.886 0.360 0.637
O: 0.476 0.110 0.640
O: 0.648 0.527 0.635
O: 0.890 0.524 0.140
O: 0.640 0.114 0.137
O: 0.473 0.352 0.135
O: 0.444 0.309 0.024
O: 0.854 0.543 0.031
O: 0.692 0.140 0.032
O: 0.457 0.146 0.531
O: 0.691 0.556 0.524
O: 0.860 0.308 0.532
O: 0.553 0.694 0.970
O: 0.143 0.444 0.974
O: 0.315 0.860 0.968
O: 0.556 0.857 0.474
O: 0.306 0.447 0.470
O: 0.140 0.685 0.468
O: 0.110 0.642 0.357
O: 0.521 0.876 0.364
O: 0.359 0.474 0.365
O: 0.124 0.479 0.864
O: 0.358 0.890 0.857
O: 0.526 0.641 0.865
O: 0.014 0.830 0.412
O: 0.809 0.978 0.413
O: 0.181 0.194 0.412
O: 0.022 0.191 0.913
O: 0.170 0.986 0.912
O: 0.806 0.819 0.912
O: 0.975 0.175 0.588
O: 0.188 0.017 0.589
O: 0.823 0.819 0.586
O: 0.983 0.812 0.089
O: 0.825 0.025 0.088
O: 0.181 0.177 0.086
O: 0.680 0.164 0.745
O: 0.476 0.311 0.746
O: 0.847 0.527 0.745
O: 0.689 0.524 0.246
O: 0.836 0.320 0.245
O: 0.473 0.153 0.245
O: 0.642 0.508 0.921
O: 0.854 0.350 0.922
O: 0.490 0.152 0.920
O: 0.650 0.146 0.422
O: 0.492 0.358 0.421
O: 0.848 0.510 0.420
O: 0.347 0.497 0.078
O: 0.143 0.644 0.080
O: 0.514 0.861 0.078
O: 0.356 0.857 0.580
O: 0.503 0.653 0.578
O: 0.139 0.486 0.578
O: 0.309 0.841 0.255
O: 0.521 0.684 0.255
O: 0.156 0.486 0.253
O: 0.316 0.479 0.755
O: 0.159 0.691 0.755
O: 0.514 0.844 0.753


Here is an optimized crystal structure of Th3Br from Materials Project. Energies are from GGA-PBE.

Values from the calculation:
Formation energy from the elements in eV per atom: -0.062
E_tot in eV/f.u.: -23.6

Cell: 6.089 6.089 6.089 Å, 132.42 132.42 69.57°
Atoms (fractional coordinates):
Th: 0.000 0.000 0.000
Th: 0.250 0.750 0.500
Th: 0.750 0.250 0.500
Br: 0.500 0.500 0.000